1.
ZnFeAsO5: relaxed, GGA+U.

Cell and atoms, written as extended XYZ:
```
32
Lattice="6.200 0.000 0.000 0.000 8.120 0.000 -0.006 0.000 8.418" Properties=species:S:1:pos:R:3 pbc="T T T"
Zn 0.312 0.000 0.529
Zn 2.757 3.145 4.726
Zn 3.437 7.205 3.692
Zn 5.883 4.060 7.889
Fe 1.523 3.621 2.061
Fe 1.607 7.735 6.272
Fe 4.587 3.675 2.146
Fe 4.671 7.681 6.357
As 0.088 0.841 3.588
As 3.030 2.401 7.789
As 3.164 6.461 0.629
As 6.106 4.901 4.830
O 0.033 0.465 7.142
O 0.056 6.454 5.592
O 0.306 7.772 2.366
O 1.354 4.570 3.944
O 1.474 0.851 4.618
O 1.642 2.423 0.387
O 1.710 6.790 8.166
O 2.823 3.560 6.554
O 3.029 4.889 1.376
O 3.092 2.756 2.913
O 3.102 6.816 5.505
O 3.166 0.829 7.042
O 3.371 7.620 1.864
O 4.484 2.730 0.253
O 4.552 6.483 8.031
O 4.720 4.911 3.801
O 4.840 0.510 4.474
O 5.888 3.712 6.052
O 6.138 2.394 2.826
O 6.161 4.525 1.276
```

Results
The value obtained for the magnetization is 20.0 μB/cell. Its crystal system is monoclinic. The total energy comes out at -187.621 eV/cell. The value obtained for the formation energy is -1.683 eV per atom. The value obtained for the volume is 13.24 Å³/atom.

=====

2.
Li9Mn2Co5O16: relaxed, GGA+U.

Cell and atoms, written as extended XYZ:
```
32
Lattice="5.122 0.000 0.000 2.407 7.265 0.000 0.741 0.953 7.757" Properties=species:S:1:pos:R:3 pbc="T T T"
Li 0.000 0.000 0.000
Li 4.136 4.387 2.389
Li 3.362 2.349 0.481
Li 4.947 6.991 1.350
Li 3.343 1.797 3.375
Li 4.927 6.421 4.382
Li 3.323 1.227 6.407
Li 4.908 5.869 7.276
Li 4.134 3.831 5.368
Mn 5.883 1.494 4.871
Mn 2.387 6.724 2.886
Co 1.574 4.109 3.879
Co 2.366 6.156 5.896
Co 1.556 3.484 6.826
Co 6.713 4.734 0.931
Co 5.904 2.062 1.861
O 1.506 0.625 3.218
O 2.326 3.241 2.161
O 3.115 5.300 4.066
O 3.176 5.886 1.379
O 3.912 7.337 5.939
O 2.329 2.616 5.060
O 3.185 4.778 7.062
O 1.654 1.272 0.212
O 6.615 6.946 7.545
O 5.084 3.440 0.695
O 5.941 5.602 2.697
O 4.357 0.881 1.818
O 5.094 2.332 6.379
O 5.155 2.918 3.691
O 5.943 4.977 5.596
O 6.764 7.593 4.539
```

Results
The value obtained for the magnetization is 10.0 μB/cell. Its crystal system is triclinic. The total energy comes out at -186.259 eV/cell. The value obtained for the formation energy is -1.830 eV per atom. The value obtained for the volume is 9.02 Å³/atom.

=====

3.
K5FeO4: relaxed, GGA+U.

Cell and atoms, written as extended XYZ:
```
80
Lattice="6.788 0.000 0.000 0.000 20.584 0.000 0.000 0.000 11.530" Properties=species:S:1:pos:R:3 pbc="T T T"
K 0.499 2.771 2.339
K 0.499 7.521 8.104
K 0.514 0.019 7.461
K 0.514 10.273 1.696
K 0.569 1.354 10.796
K 0.569 8.938 5.031
K 0.720 13.886 9.549
K 0.720 16.990 3.784
K 0.747 15.394 0.966
K 0.747 15.482 6.731
K 2.647 5.102 0.966
K 2.647 5.190 6.731
K 2.674 3.594 9.549
K 2.674 6.698 3.784
K 2.825 11.646 10.796
K 2.825 19.230 5.031
K 2.880 10.311 7.461
K 2.880 20.566 1.696
K 2.895 13.063 2.339
K 2.895 17.813 8.104
K 3.893 2.771 3.426
K 3.893 7.521 9.191
K 3.908 0.019 9.834
K 3.908 10.273 4.069
K 3.963 1.354 6.499
K 3.963 8.938 0.734
K 4.114 13.886 7.746
K 4.114 16.990 1.981
K 4.141 15.394 4.799
K 4.141 15.482 10.564
K 6.041 5.102 4.799
K 6.041 5.190 10.564
K 6.068 3.594 7.746
K 6.068 6.698 1.981
K 6.219 11.646 6.499
K 6.219 19.230 0.734
K 6.274 10.311 9.834
K 6.274 20.566 4.069
K 6.289 13.063 3.426
K 6.289 17.813 9.191
Fe 1.209 2.563 5.355
Fe 1.209 7.729 11.120
Fe 2.185 12.855 5.355
Fe 2.185 18.021 11.120
Fe 4.604 2.563 0.410
Fe 4.604 7.729 6.175
Fe 5.579 12.855 0.410
Fe 5.579 18.021 6.175
O 0.713 12.709 0.508
O 0.713 18.167 6.273
O 1.386 11.352 4.443
O 1.386 19.524 10.208
O 1.631 14.483 4.435
O 1.631 16.393 10.200
O 1.665 12.929 7.226
O 1.665 17.947 1.461
O 1.729 2.637 7.226
O 1.729 7.655 1.461
O 1.763 4.191 4.435
O 1.763 6.101 10.200
O 2.008 1.060 4.443
O 2.008 9.232 10.208
O 2.681 2.417 0.508
O 2.681 7.875 6.273
O 4.107 12.709 5.257
O 4.107 18.167 11.022
O 4.781 11.352 1.322
O 4.781 19.524 7.087
O 5.025 14.483 1.330
O 5.025 16.393 7.095
O 5.059 12.929 10.069
O 5.059 17.947 4.304
O 5.123 2.637 10.069
O 5.123 7.655 4.304
O 5.157 4.191 1.330
O 5.157 6.101 7.095
O 5.402 1.060 1.322
O 5.402 9.232 7.087
O 6.075 2.417 5.257
O 6.075 7.875 11.022
```

Results
The value obtained for the magnetization is 40.0 μB/cell. Its crystal system is orthorhombic. The total energy comes out at -355.130 eV/cell. The value obtained for the formation energy is -1.558 eV per atom. The value obtained for the volume is 20.14 Å³/atom.

=====

4.
CsTaWO6: relaxed, GGA+U.

Cell and atoms, written as extended XYZ:
```
18
Lattice="-3.716 3.728 5.272 3.716 -3.728 5.272 3.716 3.728 -5.272" Properties=species:S:1:pos:R:3 pbc="T T T"
Cs 0.000 1.864 1.326
Cs 3.716 1.864 3.946
Ta 3.716 0.000 0.000
Ta 0.000 0.000 5.272
W 1.858 1.864 -2.636
W 1.858 -1.864 2.636
O 3.716 -1.864 3.257
O 2.313 -0.501 1.339
O 5.118 -0.501 1.339
O 2.313 3.227 -1.339
O 1.403 -0.501 3.933
O 3.716 1.864 0.663
O 0.000 1.864 4.609
O 2.313 4.229 1.339
O 1.403 0.501 6.612
O -1.403 4.229 3.933
O 1.403 4.229 3.933
O 0.000 5.591 2.015
```

Results
The value obtained for the magnetization is 0.0 μB/cell. Its crystal system is orthorhombic. The total energy comes out at -143.469 eV/cell. The value obtained for the formation energy is -2.766 eV per atom. The value obtained for the volume is 16.23 Å³/atom.

=====

5.
KZrVF7: relaxed, GGA+U.

Cell and atoms, written as extended XYZ:
```
40
Lattice="11.350 0.000 0.000 0.000 8.076 0.000 0.000 0.000 6.615" Properties=species:S:1:pos:R:3 pbc="T T T"
K 2.837 0.000 1.565
K 2.837 4.038 1.742
K 8.512 0.000 5.050
K 8.512 4.038 4.873
Zr 1.057 2.019 4.961
Zr 4.617 6.057 4.961
Zr 6.732 2.019 1.654
Zr 10.292 6.057 1.654
V 1.109 6.057 4.961
V 4.565 2.019 4.961
V 6.784 6.057 1.654
V 10.240 2.019 1.654
F 0.494 1.570 2.969
F 0.494 2.468 0.339
F 0.975 6.057 1.654
F 1.158 0.033 5.507
F 1.158 4.005 4.416
F 2.833 1.711 3.766
F 2.833 2.327 6.156
F 2.842 5.749 6.156
F 2.842 6.365 3.766
F 4.516 4.071 4.416
F 4.516 8.043 5.507
F 4.700 2.019 1.654
F 5.181 5.608 0.339
F 5.181 6.506 2.969
F 6.168 1.570 3.647
F 6.168 2.468 6.276
F 6.650 6.057 4.961
F 6.833 0.033 1.108
F 6.833 4.005 2.199
F 8.508 1.711 2.849
F 8.508 2.327 0.459
F 8.516 5.749 0.459
F 8.516 6.365 2.849
F 10.191 4.071 2.199
F 10.191 8.043 1.108
F 10.374 2.019 4.961
F 10.856 5.608 6.276
F 10.856 6.506 3.647
```

Results
The value obtained for the magnetization is 12.0 μB/cell. Its crystal system is orthorhombic. The total energy comes out at -251.688 eV/cell. The value obtained for the formation energy is -3.571 eV per atom. The value obtained for the volume is 15.16 Å³/atom.

=====

6.
Li9Mn2Co5O16: relaxed, GGA+U.

Cell and atoms, written as extended XYZ:
```
32
Lattice="5.015 0.000 0.000 0.397 5.950 0.000 1.892 0.542 9.620" Properties=species:S:1:pos:R:3 pbc="T T T"
Li 0.000 0.000 0.000
Li 1.070 1.761 4.933
Li 1.298 4.718 4.883
Li 0.253 2.963 0.028
Li 3.675 3.271 4.893
Li 2.635 1.456 0.008
Li 2.877 4.550 0.006
Li 3.568 0.339 4.930
Li 5.230 0.435 7.289
Mn 1.777 0.172 2.475
Mn 4.582 4.590 2.448
Co 2.997 4.910 7.310
Co 1.976 3.110 2.446
Co 2.872 1.873 7.248
Co 4.381 1.657 2.476
Co 5.443 3.386 7.267
O 0.934 1.533 1.370
O 2.004 3.219 6.133
O 1.183 4.442 1.332
O 2.056 0.422 6.276
O 3.511 0.635 8.433
O 3.722 3.373 8.253
O 2.987 4.751 3.601
O 2.802 1.810 3.555
O 4.352 1.886 6.176
O 3.547 2.952 1.339
O 3.773 5.966 1.325
O 4.666 4.705 6.248
O 5.197 0.318 3.619
O 6.222 2.110 8.299
O 5.411 3.239 3.571
O 6.469 4.889 8.356
```

Results
The value obtained for the magnetization is 12.0 μB/cell. Its crystal system is triclinic. The total energy comes out at -184.830 eV/cell. The value obtained for the formation energy is -1.785 eV per atom. The value obtained for the volume is 8.97 Å³/atom.

=====

7.
Mn3Nb2Cr3O16: relaxed, GGA+U.

Cell and atoms, written as extended XYZ:
```
24
Lattice="5.913 0.000 0.000 -2.922 5.142 0.000 -0.077 -0.047 9.305" Properties=species:S:1:pos:R:3 pbc="T T T"
Mn 0.000 0.000 0.000
Mn -1.520 2.495 9.305
Mn -1.459 4.260 4.624
Nb 0.004 1.692 2.648
Nb -0.037 5.091 7.314
Cr 1.395 2.492 9.303
Cr 2.926 1.643 4.625
Cr 1.455 4.282 4.711
O 5.877 -0.012 3.591
O -1.469 2.532 3.585
O -0.111 1.618 8.331
O -1.518 4.217 8.246
O -0.049 3.165 1.124
O 1.245 0.897 1.124
O 1.609 0.642 5.761
O -0.046 3.598 5.757
O 0.005 5.041 3.672
O 1.437 2.542 3.563
O 2.912 1.639 8.220
O 1.431 4.238 8.227
O 4.197 0.638 5.804
O 2.921 3.434 5.469
O 3.012 3.428 0.886
O 4.606 0.937 1.075
```

Results
The value obtained for the magnetization is 17.0 μB/cell. Its crystal system is triclinic. The total energy comes out at -187.802 eV/cell. The value obtained for the formation energy is -2.249 eV per atom. The value obtained for the volume is 11.79 Å³/atom.

=====

8.
CaEuHfFeO6: relaxed, GGA+U.

Cell and atoms, written as extended XYZ:
```
10
Lattice="0.000 3.997 3.997 3.997 0.000 3.997 3.997 3.997 0.000" Properties=species:S:1:pos:R:3 pbc="T T T"
Ca 0.000 0.000 0.000
Eu 3.997 3.997 3.997
Hf 1.998 1.998 1.998
Fe 5.995 5.995 5.995
O 5.995 5.995 4.034
O 5.995 4.034 5.995
O 7.956 5.995 5.995
O 4.034 5.995 5.995
O 5.995 7.956 5.995
O 5.995 5.995 7.956
```

Results
The value obtained for the magnetization is 11.0 μB/cell. Its crystal system is cubic. The total energy comes out at -83.893 eV/cell. The value obtained for the formation energy is -2.989 eV per atom. The value obtained for the volume is 12.77 Å³/atom.

=====

9.
Ti4Fe6O15: relaxed, GGA+U.

Cell and atoms, written as extended XYZ:
```
50
Lattice="5.214 0.000 0.000 -2.602 4.876 0.000 -0.056 -1.769 21.342" Properties=species:S:1:pos:R:3 pbc="T T T"
Ti 0.000 0.000 0.000
Ti -0.014 -1.378 18.301
Ti 0.085 0.472 6.385
Ti 0.049 0.891 12.841
Ti 2.651 -0.838 10.620
Ti 2.553 1.734 2.070
Ti 2.713 2.639 5.422
Ti 2.582 2.659 14.966
Fe 0.048 0.776 3.351
Fe 0.046 1.267 9.771
Fe 0.002 1.393 19.177
Fe 0.031 1.637 16.156
Fe 0.030 3.583 4.198
Fe 0.036 3.850 1.133
Fe 2.675 -0.602 7.619
Fe 2.604 -0.132 13.968
Fe 2.665 -0.427 17.030
Fe 2.581 0.362 20.354
Fe 2.651 2.212 8.498
Fe 2.650 2.961 11.834
O -1.896 2.196 19.507
O -0.781 0.342 17.479
O -0.961 1.379 14.286
O 0.634 -0.942 13.678
O -1.652 3.133 16.573
O -0.609 2.145 11.534
O -0.835 2.972 9.016
O -1.094 3.958 5.940
O 0.954 -0.065 10.990
O 0.985 0.872 8.017
O 0.925 1.763 5.263
O 1.959 0.043 2.853
O 1.748 0.831 0.278
O 1.633 -0.127 18.686
O 1.000 2.566 2.483
O 1.109 1.761 20.814
O 1.676 1.697 13.203
O 2.010 0.904 15.746
O 0.957 2.743 17.882
O 1.563 2.658 10.079
O 0.931 3.430 15.317
O 3.585 -0.416 12.168
O 3.417 0.449 9.446
O 1.945 3.550 7.234
O 1.914 4.330 4.750
O 3.542 1.320 6.669
O 4.316 0.513 1.506
O 3.522 2.160 3.773
O 3.328 3.029 0.792
O 4.399 -0.522 20.069
```

Results
The value obtained for the magnetization is 52.0 μB/cell. Its crystal system is triclinic. The total energy comes out at -389.195 eV/cell. The value obtained for the formation energy is -2.473 eV per atom. The value obtained for the volume is 10.85 Å³/atom.

=====

10.
Ba4MgFe4O10: relaxed, GGA+U.

Cell and atoms, written as extended XYZ:
```
19
Lattice="5.753 0.000 0.000 0.050 5.777 0.000 0.827 2.802 9.057" Properties=species:S:1:pos:R:3 pbc="T T T"
Ba 0.000 0.000 0.000
Ba 1.483 2.735 5.124
Ba 4.008 5.692 8.350
Ba 4.842 5.726 4.296
Mg 3.083 2.898 2.578
Fe 1.266 5.672 6.911
Fe 2.726 5.783 1.994
Fe 4.360 2.864 6.341
Fe 5.849 2.894 1.718
O 1.213 5.695 8.896
O 1.428 4.240 2.412
O 1.425 1.555 2.423
O 2.432 5.883 5.487
O 2.975 3.001 7.563
O 4.045 2.894 4.425
O 4.203 4.306 1.689
O 4.194 1.485 1.681
O 5.533 7.168 6.699
O 5.575 4.284 6.645
```

Results
The value obtained for the magnetization is 16.0 μB/cell. Its crystal system is triclinic. The total energy comes out at -117.541 eV/cell. The value obtained for the formation energy is -2.147 eV per atom. The value obtained for the volume is 15.84 Å³/atom.

=====

> Among the records above, which one has the lowest magnetization?

CsTaWO6